(1)
SrMg14C GGA-PBE optimized geometry; calculated formation energy = 23 kJ per mole of atoms; space-group type = Amm2, No. 38; crystal system = orthorhombic; distance to the lowest polymorph of the same formula = 0 meV per atom
1.0
6.648 0.320 0.000
-3.047 5.277 0.000
0.000 0.000 10.240
Mg Sr C
14 1 1
Cartesian
1.778 0.983 3.889
3.744 3.921 3.314
3.091 1.649 1.280
0.217 3.687 8.911
1.450 4.491 1.280
1.778 0.983 8.911
1.855 4.556 6.400
3.350 1.968 6.400
5.004 1.130 4.006
0.217 3.687 3.889
3.744 3.921 9.487
0.096 1.815 6.400
-1.533 4.392 6.400
5.004 1.130 8.794
-0.170 1.661 1.280
-0.813 4.808 1.280

***

(2)
TbI3O9 GGA-PBE optimized geometry; calculated formation energy = -143 kJ per mole of atoms; space-group type = P2_1/c, No. 14; crystal system = monoclinic; distance to the lowest polymorph of the same formula = 11 meV per atom
1.0
-5.313 6.236 2.698
-1.653 -3.936 5.844
9.520 4.370 8.650
O Tb I
36 4 12
Cartesian
0.343 4.481 8.770
0.115 -0.207 9.672
-1.689 -1.005 3.660
0.855 1.952 5.678
3.177 3.933 6.427
3.224 5.991 15.552
2.438 6.876 7.520
-0.237 7.317 8.046
1.022 -0.395 3.635
-0.624 2.736 10.764
-3.120 5.628 3.600
-2.578 1.753 5.440
-1.080 -0.276 6.558
0.994 -1.924 7.316
-3.169 2.987 2.793
2.727 -0.033 6.230
5.132 4.916 11.751
-1.571 5.281 6.534
3.448 2.967 12.811
5.673 1.041 13.591
-0.174 6.703 10.961
1.560 8.593 9.875
-0.845 2.082 8.021
3.399 4.587 9.170
3.633 6.945 10.633
2.791 -0.648 9.145
6.236 3.408 9.688
-3.683 3.262 7.503
4.124 1.388 10.658
2.211 2.189 8.421
-0.671 0.678 1.640
1.699 4.717 11.513
1.531 7.064 13.556
-0.895 3.702 4.380
5.723 3.683 14.398
4.243 7.675 13.531
0.951 0.428 7.648
1.602 6.242 9.543
-3.107 3.997 5.192
5.661 2.672 11.999
-5.090 3.308 8.687
1.857 2.926 11.901
3.151 6.225 13.740
-2.768 0.458 6.717
-1.131 3.480 9.173
7.644 3.361 8.504
3.685 3.189 8.018
0.697 3.743 5.290
-1.879 6.891 7.388
-0.598 0.444 3.451
5.322 6.212 10.474
4.432 -0.221 9.803

***

(3)
KNaNb2O6 GGA-PBE optimized geometry; calculated formation energy = -273 kJ per mole of atoms; space-group type = Cm, No. 8; crystal system = monoclinic; distance to the lowest polymorph of the same formula = 4 meV per atom
1.0
2.879 0.000 2.890
2.885 -4.003 -2.895
2.885 4.003 -2.895
O K Nb Na
6 1 2 1
Cartesian
1.425 -0.025 -1.351
2.878 -2.001 -2.746
2.891 2.001 -2.766
4.339 0.002 -1.354
4.310 0.025 -4.246
7.224 -0.002 -4.249
2.880 2.001 -0.011
5.768 -0.002 -0.093
2.883 0.002 2.803
5.769 2.001 -2.884